Al8Mo3 | meta-GGA r2SCAN | optimized geometry

Cell: 3.6304 4.9314 10.0255 Å, 100.11 90.00 111.60°
Sites, in units of the cell vectors:
Al1 0.2722 0.5445 0.9097
Al2 0.7278 0.4555 0.0903
Al3 0.4605 0.9211 0.1794
Al4 0.5395 0.0789 0.8206
Al5 0.1866 0.3731 0.2779
Al6 0.8134 0.6269 0.7221
Al7 0.3680 0.7361 0.5418
Al8 0.6320 0.2639 0.4582
Mo1 0.0000 0.0000 0.0000
Mo2 0.0946 0.1891 0.6595
Mo3 0.9054 0.8109 0.3405


Ce3NbSb5 | meta-GGA r2SCAN | optimized geometry

Cell: 9.4705 9.4674 6.2785 Å, 90.00 90.00 120.00°
Sites, in units of the cell vectors:
Ce1 0.6165 0.0000 0.2500
Ce2 0.3836 0.0000 0.7500
Ce3 0.0000 0.6168 0.2500
Ce4 0.0000 0.3832 0.7500
Ce5 0.3832 0.3832 0.2500
Ce6 0.6168 0.6167 0.7500
Nb1 0.0000 0.0000 0.0000
Nb2 0.0000 0.0000 0.5000
Sb1 0.2570 0.0000 0.2500
Sb2 0.7430 0.0000 0.7500
Sb3 0.0000 0.2571 0.2500
Sb4 0.0000 0.7429 0.7500
Sb5 0.7430 0.7429 0.2500
Sb6 0.2570 0.2570 0.7500
Sb7 0.3332 0.6665 0.0000
Sb8 0.6668 0.3335 0.0000
Sb9 0.6668 0.3335 0.5000
Sb10 0.3332 0.6665 0.5000


Ho3Pt4 | meta-GGA r2SCAN | optimized geometry

Cell: 5.6848 7.7917 7.7917 Å, 114.29 104.08 104.08°
Sites, in units of the cell vectors:
Ho1 0.4051 0.1257 0.3776
Ho2 0.0276 0.6224 0.7482
Ho3 0.2794 0.2518 0.8743
Ho4 0.5949 0.8743 0.6224
Ho5 0.9724 0.3776 0.2518
Ho6 0.7206 0.7482 0.1257
Pt1 0.0000 0.0000 0.0000
Pt2 0.5000 0.0000 0.0000
Pt3 0.2275 0.6743 0.1658
Pt4 0.0617 0.8342 0.5085
Pt5 0.5532 0.4915 0.3257
Pt6 0.7725 0.3257 0.8342
Pt7 0.9383 0.1658 0.4915
Pt8 0.4468 0.5085 0.6743


YMg5 | meta-GGA r2SCAN | optimized geometry

Cell: 8.6698 8.6698 5.2565 Å, 90.00 90.00 158.14°
Sites, in units of the cell vectors:
Y1 0.7800 0.2200 0.0000
Mg1 0.9974 0.0026 0.5000
Mg2 0.3380 0.6620 0.5000
Mg3 0.6642 0.3358 0.5000
Mg4 0.1065 0.8935 0.0000
Mg5 0.4472 0.5528 0.0000


LiVPO5 | meta-GGA r2SCAN | optimized geometry

Cell: 6.2857 6.2861 8.7851 Å, 90.00 90.00 90.00°
Sites, in units of the cell vectors:
Li1 0.4866 0.0099 0.2437
Li2 0.4866 0.4901 0.7437
Li3 0.9866 0.5099 0.2563
Li4 0.9866 0.9901 0.7563
V1 0.2482 0.2470 0.9577
V2 0.2482 0.2530 0.4577
V3 0.7482 0.7470 0.5423
V4 0.7482 0.7530 0.0423
P1 0.2475 0.7489 0.0000
P2 0.2475 0.7511 0.5000
P3 0.7475 0.2489 0.5000
P4 0.7475 0.2511 0.0000
O1 0.0511 0.7382 0.1033
O2 0.0511 0.7618 0.6033
O3 0.2338 0.5555 0.3959
O4 0.2338 0.9445 0.8959
O5 0.2534 0.2418 0.1424
O6 0.2534 0.2582 0.6424
O7 0.2603 0.5506 0.8990
O8 0.2603 0.9494 0.3990
O9 0.4450 0.7353 0.6019
O10 0.4450 0.7647 0.1019
O11 0.5511 0.2382 0.3967
O12 0.5511 0.2618 0.8967
O13 0.7338 0.0555 0.1041
O14 0.7338 0.4445 0.6041
O15 0.7534 0.7418 0.3576
O16 0.7534 0.7582 0.8576
O17 0.7603 0.0506 0.6010
O18 0.7603 0.4494 0.1010
O19 0.9450 0.2353 0.8981
O20 0.9450 0.2647 0.3981


LaIr3 | meta-GGA r2SCAN | optimized geometry

Cell: 9.3922 9.3922 9.3922 Å, 33.37 33.37 33.37°
Sites, in units of the cell vectors:
La1 0.8604 0.8604 0.8604
La2 0.1396 0.1396 0.1396
La3 0.0000 0.0000 0.0000
Ir1 0.4225 0.9147 0.4225
Ir2 0.4225 0.4225 0.9147
Ir3 0.9147 0.4225 0.4225
Ir4 0.5775 0.0853 0.5775
Ir5 0.5775 0.5775 0.0853
Ir6 0.0853 0.5775 0.5775
Ir7 0.6687 0.6687 0.6687
Ir8 0.3313 0.3313 0.3313
Ir9 0.5000 0.5000 0.5000


Pr3Ho | meta-GGA r2SCAN | optimized geometry

Cell: 7.4706 7.4706 5.8945 Å, 90.00 90.00 120.00°
Sites, in units of the cell vectors:
Pr1 0.1681 0.3363 0.2500
Pr2 0.6637 0.8319 0.2500
Pr3 0.1681 0.8319 0.2500
Pr4 0.8319 0.6637 0.7500
Pr5 0.3363 0.1681 0.7500
Pr6 0.8319 0.1681 0.7500
Ho1 0.3333 0.6667 0.7500
Ho2 0.6667 0.3333 0.2500


YbNdMg2 | meta-GGA r2SCAN | optimized geometry

Cell: 5.3954 5.3954 5.3954 Å, 60.00 60.00 60.00°
Sites, in units of the cell vectors:
Yb1 0.0000 0.0000 0.0000
Nd1 0.5000 0.5000 0.5000
Mg1 0.2500 0.2500 0.2500
Mg2 0.7500 0.7500 0.7500


no.,DFT formation energy (eV per formula unit)
1,-4.20
2,-8.99
3,-9.53
4,0.17
5,-20.51
6,-2.44
7,0.17
8,-0.39